Rb2AsH5O6 | PBE | relaxed

a = 7.862 Å, b = 7.952 Å, c = 13.823 Å
α = 90.00°, β = 90.00°, γ = 116.90°
Element x y z (fractional)
Rb 0.495 0.752 0.763
Rb 0.005 0.748 0.263
Rb 0.505 0.248 0.237
Rb 0.995 0.252 0.737
Rb 0.006 0.754 0.583
Rb 0.494 0.746 0.083
Rb 0.994 0.246 0.417
Rb 0.506 0.254 0.917
As 0.495 0.238 0.640
As 0.005 0.262 0.140
As 0.505 0.762 0.360
As 0.995 0.738 0.860
H 0.715 0.051 0.590
H 0.785 0.449 0.090
H 0.285 0.949 0.410
H 0.215 0.551 0.910
H 0.792 0.123 0.965
H 0.708 0.377 0.465
H 0.208 0.877 0.035
H 0.292 0.623 0.535
H 0.711 0.873 0.537
H 0.789 0.627 0.037
H 0.289 0.127 0.463
H 0.211 0.373 0.963
H 0.788 0.943 0.911
H 0.712 0.557 0.411
H 0.212 0.057 0.089
H 0.288 0.443 0.589
H 0.718 0.492 0.735
H 0.782 0.008 0.235
H 0.282 0.508 0.265
H 0.218 0.992 0.765
O 0.582 0.453 0.707
O 0.918 0.047 0.207
O 0.418 0.547 0.293
O 0.082 0.953 0.793
O 0.683 0.247 0.573
O 0.817 0.253 0.073
O 0.317 0.753 0.427
O 0.183 0.747 0.927
O 0.420 0.059 0.723
O 0.080 0.441 0.223
O 0.580 0.941 0.277
O 0.920 0.559 0.777
O 0.308 0.234 0.575
O 0.192 0.266 0.075
O 0.692 0.766 0.425
O 0.808 0.734 0.925
O 0.754 0.948 0.598
O 0.746 0.552 0.098
O 0.246 0.052 0.402
O 0.254 0.448 0.902
O 0.747 0.045 0.905
O 0.753 0.455 0.405
O 0.253 0.955 0.095
O 0.247 0.545 0.595

Results
Its calculated density is 2.990 g/cm3. As for the formation energy: -2210 kJ/mol of formula units.